1.
KAlS2O8 after structural relaxation. Source: the Materials Project, functional PBE-GGA.

a = 5.0166 Å, b = 5.0166 Å, c = 7.9691 Å
α = 90.00°, β = 90.00°, γ = 120.00°
Closest atoms and distances in Å follow each position.
Atoms (fractional coordinates):
O 0.8275 0.6551 0.6434  1 S 1.48
O 0.3449 0.1725 0.6434  1 S 1.48
Al 0.0000 0.0000 0.5000  6 O 1.88
O 0.6667 0.3333 0.8886  1 S 1.46
S 0.6667 0.3333 0.7057  4 O 1.46-1.48
S 0.3333 0.6667 0.2943  4 O 1.46-1.48
O 0.3333 0.6667 0.1114  1 S 1.46
O 0.1725 0.3449 0.3566  1 S 1.48
O 0.6551 0.8275 0.3566  1 S 1.48
O 0.1725 0.8275 0.3566  1 S 1.48
O 0.8275 0.1725 0.6434  1 S 1.48
K 0.0000 0.0000 0.0000  12 O 3.03-3.21

Summary:
E (MP2020): -6.72 eV/atom
energy: -6.26 eV per atom
energy relative to the elements: -2.327 eV/atom


2.
KAlS2O20 after structural relaxation. Source: the Materials Project, functional PBE-GGA.

a = 11.3606 Å, b = 11.3606 Å, c = 11.3606 Å
α = 90.00°, β = 90.00°, γ = 90.00°
Closest atoms and distances in Å follow each position.
Atoms (fractional coordinates):
O 0.2005 0.2471 0.0776  1 S 1.49
O 0.8482 0.2841 0.5484  3 O 2.07-2.25
O 0.0484 0.8482 0.2159  3 O 2.07-2.25
O 0.9516 0.1518 0.7841  3 O 2.07-2.25
O 0.2995 0.7471 0.0776  1 S 1.49
O 0.1518 0.7841 0.9516  3 O 2.07-2.25
O 0.2529 0.9224 0.7005  1 S 1.49
O 0.2529 0.5776 0.2005  1 S 1.49
O 0.7471 0.4224 0.7995  1 S 1.49
O 0.7995 0.7529 0.9224  1 S 1.49
O 0.4863 0.4789 0.3375  1 Al 1.87, 1 O 2.07
O 0.0137 0.5211 0.8375  1 Al 1.87, 1 O 2.07
O 0.0776 0.2005 0.2471  1 S 1.49
O 0.5776 0.2995 0.7529  1 S 1.49
O 0.7995 0.7471 0.4224  1 S 1.49
O 0.1518 0.7159 0.4516  3 O 2.07-2.25
O 0.7841 0.9516 0.1518  3 O 2.07-2.25
O 0.5211 0.6625 0.5137  1 Al 1.87, 1 O 2.07
O 0.2780 0.2780 0.2780  1 S 1.55
O 0.7780 0.2220 0.7220  1 S 1.55
O 0.9224 0.7005 0.2529  1 S 1.49
O 0.9224 0.7995 0.7529  1 S 1.49
O 0.4224 0.7995 0.7471  1 S 1.49
Al 0.0000 0.5000 0.0000  6 O 1.87
Al 0.5000 0.5000 0.5000  6 O 1.87
O 0.2471 0.0776 0.2005  1 S 1.49
O 0.0137 0.9789 0.3375  1 Al 1.87, 1 O 2.07
K 0.0000 0.5000 0.5000  6 O 3.05
O 0.0776 0.2995 0.7471  1 S 1.49
O 0.1625 0.9863 0.4789  1 Al 1.87, 1 O 2.07
O 0.7005 0.2529 0.9224  1 S 1.49
O 0.4224 0.7005 0.2471  1 S 1.49
O 0.7220 0.7220 0.7220  1 S 1.55
S 0.3006 0.8006 0.6994  4 O 1.49-1.55
O 0.2220 0.7220 0.7780  1 S 1.55
O 0.6625 0.9863 0.0211  1 Al 1.87, 1 O 2.07
O 0.8375 0.4863 0.0211  1 Al 1.87, 1 O 2.07
O 0.3375 0.4863 0.4789  1 Al 1.87, 1 O 2.07
O 0.4789 0.3375 0.4863  1 Al 1.87, 1 O 2.07
O 0.9789 0.3375 0.0137  1 Al 1.87, 1 O 2.07
S 0.1994 0.1994 0.1994  4 O 1.49-1.55
Al 0.0000 0.0000 0.5000  6 O 1.87
O 0.7841 0.5484 0.6518  3 O 2.07-2.25
O 0.8482 0.2159 0.0484  3 O 2.07-2.25
O 0.4789 0.1625 0.9863  1 Al 1.87, 1 O 2.07
O 0.2995 0.7529 0.5776  1 S 1.49
O 0.9789 0.1625 0.5137  1 Al 1.87, 1 O 2.07
K 0.0000 0.0000 0.0000  6 O 3.05
O 0.0211 0.8375 0.4863  1 Al 1.87, 1 O 2.07
O 0.4516 0.3482 0.2159  3 O 2.07-2.25
O 0.7471 0.0776 0.2995  1 S 1.49
K 0.5000 0.5000 0.0000  6 O 3.05
O 0.2159 0.4516 0.3482  3 O 2.07-2.25
O 0.3482 0.2159 0.4516  3 O 2.07-2.25
S 0.1994 0.3006 0.6994  4 O 1.49-1.55
O 0.7529 0.5776 0.2995  1 S 1.49
O 0.7159 0.0484 0.6518  3 O 2.07-2.25
S 0.8006 0.8006 0.8006  4 O 1.49-1.55
O 0.0484 0.6518 0.7159  3 O 2.07-2.25
O 0.5211 0.8375 0.0137  1 Al 1.87, 1 O 2.07
O 0.4863 0.0211 0.8375  1 Al 1.87, 1 O 2.07
O 0.7220 0.7780 0.2220  1 S 1.55
S 0.6994 0.3006 0.8006  4 O 1.49-1.55
Al 0.5000 0.0000 0.0000  6 O 1.87
O 0.2159 0.0484 0.8482  3 O 2.07-2.25
S 0.8006 0.6994 0.3006  4 O 1.49-1.55
S 0.6994 0.1994 0.3006  4 O 1.49-1.55
O 0.5137 0.5211 0.6625  1 Al 1.87, 1 O 2.07
O 0.1625 0.5137 0.9789  1 Al 1.87, 1 O 2.07
O 0.7005 0.2471 0.4224  1 S 1.49
O 0.5484 0.8482 0.2841  3 O 2.07-2.25
O 0.6625 0.5137 0.5211  1 Al 1.87, 1 O 2.07
O 0.2220 0.7780 0.2780  1 S 1.55
O 0.3482 0.2841 0.9516  3 O 2.07-2.25
O 0.2780 0.2220 0.7780  1 S 1.55
O 0.5137 0.9789 0.1625  1 Al 1.87, 1 O 2.07
O 0.6518 0.7841 0.5484  3 O 2.07-2.25
S 0.3006 0.6994 0.1994  4 O 1.49-1.55
O 0.9516 0.3482 0.2841  3 O 2.07-2.25
O 0.4516 0.1518 0.7159  3 O 2.07-2.25
O 0.7780 0.2780 0.2220  1 S 1.55
O 0.2471 0.4224 0.7005  1 S 1.49
O 0.0211 0.6625 0.9863  1 Al 1.87, 1 O 2.07
O 0.9863 0.0211 0.6625  1 Al 1.87, 1 O 2.07
O 0.7159 0.4516 0.1518  3 O 2.07-2.25
O 0.3375 0.0137 0.9789  1 Al 1.87, 1 O 2.07
O 0.8375 0.0137 0.5211  1 Al 1.87, 1 O 2.07
O 0.2841 0.5484 0.8482  3 O 2.07-2.25
O 0.2841 0.9516 0.3482  3 O 2.07-2.25
O 0.7529 0.9224 0.7995  1 S 1.49
K 0.5000 0.0000 0.5000  6 O 3.05
O 0.9863 0.4789 0.1625  1 Al 1.87, 1 O 2.07
O 0.6518 0.7159 0.0484  3 O 2.07-2.25
O 0.5776 0.2005 0.2529  1 S 1.49
O 0.5484 0.6518 0.7841  3 O 2.07-2.25
O 0.2005 0.2529 0.5776  1 S 1.49

Summary:
E (MP2020): -4.85 eV/atom
total magnetization: 17.61 μB per formula unit
energy: -4.28 eV per atom
energy relative to the elements: -0.184 eV/atom
energy relative to the lowest polymorph listed for this composition: 0.440 eV/atom


3.
KAl3Si3O12 after structural relaxation. Source: the Materials Project, functional PBE-GGA.

a = 5.3179 Å, b = 5.3179 Å, c = 20.6413 Å
α = 87.43°, β = 87.43°, γ = 120.26°
Closest atoms and distances in Å follow each position.
Atoms (fractional coordinates):
K 0.1087 0.9075 0.7387  3 O 2.71-2.77
Si 0.5966 0.4597 0.1370  4 O 1.62-1.68
O 0.3491 0.5396 0.3346  2 Si 1.66
O 0.8883 0.3885 0.5510  3 Al 1.76-1.84
Al 0.3734 0.1788 0.0027  6 O 1.84-2.02
Si 0.1893 0.7082 0.3673  4 O 1.61-1.66
Al 0.1788 0.3734 0.5027  6 O 1.84-2.02
O 0.3972 0.0607 0.3466  2 Si 1.65
Al 0.8134 0.6316 0.5029  5 O 1.80-1.91
O 0.4813 0.5736 0.5561  1 Si 1.68, 1 Al 1.86
O 0.5874 0.8727 0.8347  2 Si 1.66
Si 0.5321 0.3975 0.3680  4 O 1.62-1.66
O 0.1302 0.3622 0.6682  1 Si 1.63, 1 Al 1.76
Si 0.3975 0.5321 0.8680  4 O 1.62-1.66
K 0.9075 0.1087 0.2387  3 O 2.71-2.77
O 0.6228 0.1256 0.9445  1 Si 1.61
O 0.3622 0.1302 0.1682  1 Si 1.63, 1 Al 1.76
Al 0.6316 0.8134 0.0029  5 O 1.80-1.91
O 0.5396 0.3491 0.8346  2 Si 1.66
O 0.8727 0.5874 0.3347  2 Si 1.66
O 0.5098 0.6844 0.1684  1 Si 1.63, 1 Al 1.76
O 0.0607 0.3972 0.8466  2 Si 1.65
Si 0.4597 0.5966 0.6370  4 O 1.62-1.68
O 0.5736 0.4813 0.0561  1 Si 1.68, 1 Al 1.86
O 0.0825 0.9944 0.5290  1 O 1.58
O 0.9207 0.5380 0.1551  1 Si 1.62, 1 Al 1.74
Al 0.2853 0.8029 0.1348  4 O 1.74-1.76
O 0.9387 0.0133 0.4650  1 O 1.58
O 0.4303 0.5237 0.9456  1 Si 1.62
Al 0.8029 0.2853 0.6348  4 O 1.74-1.76
O 0.3885 0.8883 0.0510  3 Al 1.76-1.84
O 0.5380 0.9207 0.6551  1 Si 1.62, 1 Al 1.74
O 0.5237 0.4303 0.4456  1 Si 1.62
O 0.0133 0.9387 0.9650  1 O 1.58
Si 0.7082 0.1893 0.8673  4 O 1.61-1.66
O 0.9944 0.0825 0.0290  1 O 1.58
O 0.1256 0.6228 0.4445  1 Si 1.61
O 0.6844 0.5098 0.6684  1 Si 1.63, 1 Al 1.76

Summary:
E (MP2020): -7.59 eV/atom
total magnetization: 0.00 μB per formula unit
energy: -7.29 eV per atom
energy relative to the elements: -2.955 eV/atom
energy relative to the lowest polymorph listed for this composition: 0.091 eV/atom


Q: What is the formula in the first record?
A: KAlS2O8


Q: Which of these has the highest energy relative to the elements?
A: KAlS2O20


Q: energy of number 2 (KAlS2O20)?
A: -4.28 eV per atom


Q: Among the records above, which one has the lowest energy relative to the elements?
A: KAl3Si3O12